First-principles (r²SCAN) data for KSb2PO8 after structural relaxation, as listed in the Materials Project. Values from VASP.

Cell and atoms, written as Quantum ESPRESSO input:
```
&SYSTEM
  ibrav = 0, nat = 48, ntyp = 4
/
ATOMIC_SPECIES
K 39.10 K.upf
Sb 121.76 Sb.upf
P 30.97 P.upf
O 16.00 O.upf
CELL_PARAMETERS angstrom
6.1528 -3.5541 0.0000
6.1528 3.5541 0.0000
-1.5239 0.0000 14.9802
ATOMIC_POSITIONS crystal
K 0.0928 0.8520 0.6161
K 0.1480 0.9072 0.8839
K 0.8520 0.0928 0.1161
K 0.9072 0.1480 0.3839
Sb 0.1250 0.3787 0.7467
Sb 0.1919 0.4548 0.0629
Sb 0.3787 0.1250 0.2467
Sb 0.4548 0.1919 0.5629
Sb 0.5452 0.8081 0.4371
Sb 0.6213 0.8750 0.7533
Sb 0.8081 0.5452 0.9371
Sb 0.8750 0.6213 0.2533
P 0.2854 0.5117 0.3942
P 0.4883 0.7146 0.1058
P 0.5117 0.2854 0.8942
P 0.7146 0.4883 0.6058
O 0.0008 0.6664 0.9713
O 0.0194 0.6590 0.1581
O 0.0616 0.3057 0.2469
O 0.0706 0.6725 0.3467
O 0.2455 0.4021 0.4679
O 0.2572 0.4128 0.6453
O 0.3057 0.0616 0.7469
O 0.3275 0.9294 0.1533
O 0.3336 0.9992 0.5287
O 0.3391 0.4382 0.8265
O 0.3410 0.9806 0.3419
O 0.3526 0.6184 0.0617
O 0.3816 0.6474 0.4383
O 0.4021 0.2455 0.9679
O 0.4128 0.2572 0.1453
O 0.4382 0.3391 0.3265
O 0.5618 0.6609 0.6735
O 0.5872 0.7428 0.8547
O 0.5979 0.7545 0.0321
O 0.6184 0.3526 0.5617
O 0.6474 0.3816 0.9383
O 0.6590 0.0194 0.6581
O 0.6609 0.5618 0.1735
O 0.6664 0.0008 0.4713
O 0.6725 0.0706 0.8467
O 0.6943 0.9384 0.2531
O 0.7428 0.5872 0.3547
O 0.7545 0.5979 0.5321
O 0.9294 0.3275 0.6533
O 0.9384 0.6943 0.7531
O 0.9806 0.3410 0.8419
O 0.9992 0.3336 0.0287
```

- Calculated formation energy: -1.9670 eV per atom
- Crystal system: monoclinic
- Total moment: 0.00 μB per atom